A plane-wave DFT calculation with PBE with a Hubbard U was carried out for crystalline Mn3Nb2Fe3O16 at its relaxed geometry. Values from VASP.

Calculated values
- Calculated volume: 11.87 Å³/atom
- Energy: -177.4 eV per cell
- DFT formation energy: -1.996 eV/atom

Cell and atoms, written as Quantum ESPRESSO input:
```
&SYSTEM
  ibrav = 0, nat = 24, ntyp = 4
/
ATOMIC_SPECIES
Mn 54.94 Mn.upf
Nb 92.91 Nb.upf
Fe 55.84 Fe.upf
O 16.00 O.upf
CELL_PARAMETERS angstrom
5.161 -2.954 0.000
5.161 2.954 0.000
-0.206 0.000 9.340
ATOMIC_POSITIONS crystal
Mn 0.000 0.000 0.000
Mn 0.338 0.832 0.501
Mn 0.832 0.338 0.501
Nb 0.504 0.504 0.215
Nb 0.840 0.840 0.718
Fe 0.001 0.504 0.002
Fe 0.338 0.338 0.500
Fe 0.504 0.001 0.002
O 0.001 0.508 0.615
O 0.004 0.004 0.609
O 0.131 0.704 0.877
O 0.164 0.164 0.905
O 0.165 0.165 0.405
O 0.216 0.659 0.379
O 0.333 0.833 0.116
O 0.339 0.339 0.119
O 0.508 0.001 0.615
O 0.510 0.510 0.605
O 0.650 0.650 0.386
O 0.659 0.216 0.379
O 0.694 0.694 0.871
O 0.704 0.131 0.877
O 0.833 0.333 0.116
O 0.844 0.844 0.107
```